# 1
DFT (PBE+U) results for KVO4 after structural relaxation.

Properties
Corrected total energy (MP2020 scheme) = -6.69 eV/atom
Total magnetic moment = 0.333 μB/atom
Calculated formation energy = -1.691 eV per atom

```
24
Lattice="7.9120 0.0000 0.0000 0.0000 3.6832 0.0000 0.0000 0.0000 14.1332" Properties=species:S:1:pos:R:3 pbc="T T T"
K 1.8102 0.9208 3.1998
K 2.1458 2.7624 10.2664
K 5.7662 0.9208 3.8668
K 6.1018 2.7624 10.9334
V 0.5661 2.7624 5.9078
V 3.3900 0.9208 12.9744
V 4.5221 2.7624 1.1588
V 7.3460 0.9208 8.2254
O 0.2110 0.9208 9.7332
O 0.2509 0.9208 6.3709
O 0.3038 2.7624 0.5644
O 1.7637 0.9208 12.6088
O 2.1924 2.7624 5.5422
O 3.6523 0.9208 7.6310
O 3.7052 2.7624 13.4375
O 3.7450 2.7624 2.6666
O 4.1670 0.9208 11.4666
O 4.2069 0.9208 0.6957
O 4.2598 2.7624 6.5022
O 5.7197 0.9208 8.5911
O 6.1484 2.7624 1.5244
O 7.6083 0.9208 13.5688
O 7.6612 2.7624 7.7624
O 7.7011 2.7624 4.4000
```



# 2
DFT (PBE+U) results for K2VO6 after structural relaxation.

Properties
Corrected total energy (MP2020 scheme) = -5.89 eV/atom
Total magnetic moment = 0.111 μB/atom
Calculated formation energy = -1.332 eV per atom

```
72
Lattice="6.6552 0.0000 0.0000 0.0000 10.2682 0.0000 -0.4551 0.0000 17.2702" Properties=species:S:1:pos:R:3 pbc="T T T"
K 1.2007 0.7082 3.5849
K 0.9731 4.4259 12.2200
K 1.7501 5.9676 2.2849
K 1.5226 9.4348 10.9200
K 1.6298 5.8796 8.9089
K 1.8573 9.5227 0.2738
K 1.5020 7.1723 14.8776
K 1.7296 8.2300 6.2425
K 4.4704 2.0382 11.0277
K 4.6980 3.0959 2.3926
K 4.3427 0.7455 16.9964
K 4.5702 4.3886 8.3613
K 4.6775 0.8335 6.3502
K 4.4499 4.3007 14.9853
K 5.2269 5.8423 5.0502
K 4.9993 9.5600 13.6853
V 1.4042 2.0395 7.9168
V 1.1766 3.0946 16.5519
V 1.3017 1.2433 14.1043
V 1.5292 3.8908 5.4692
V 4.6708 6.3774 11.8010
V 4.8983 9.0249 3.1659
V 5.0234 7.1736 0.7183
V 4.7958 8.2287 9.3534
O -0.3078 1.9658 13.3436
O -0.0803 3.1683 4.7085
O -0.2321 6.9240 11.1135
O -0.0046 8.4783 2.4784
O -0.3796 7.0474 17.0354
O -0.1520 8.3549 8.4003
O 0.5239 1.9327 0.4265
O 0.2963 3.2014 9.0616
O 0.8030 0.5585 6.8152
O 0.5754 4.5756 15.4503
O 1.3492 5.5389 5.2728
O 1.1217 9.8634 13.9079
O 1.8837 1.2904 6.1649
O 1.6561 3.8437 14.8000
O 1.9479 1.5036 15.8789
O 2.1755 3.6306 7.2438
O 2.1658 1.7354 12.4328
O 2.3934 3.3987 3.7977
O 2.5230 1.3951 8.9512
O 2.7506 3.7390 0.3161
O 2.9740 1.1841 1.6875
O 2.7465 3.9500 10.3226
O 2.8504 6.7674 12.3976
O 3.0779 8.6349 3.7625
O 3.1221 1.6333 13.5077
O 3.3497 3.5008 4.8726
O 3.4535 6.3182 6.9476
O 3.2260 9.0842 15.5827
O 3.4494 6.5292 16.9541
O 3.6770 8.8731 8.3190
O 3.8066 6.8695 13.4725
O 4.0342 8.5328 4.8374
O 4.0246 6.6377 10.0264
O 4.2521 8.7647 1.3913
O 4.5439 6.4245 2.4702
O 4.3164 8.9778 11.1053
O 5.0784 0.4048 3.3623
O 4.8508 4.7293 11.9974
O 5.6246 5.6926 1.8199
O 5.3970 9.7097 10.4550
O 5.9037 7.0668 8.2086
O 5.6761 8.3355 16.8437
O 6.3520 1.9133 8.8699
O 6.5796 3.2208 0.2348
O 6.2046 1.7899 14.7918
O 6.4322 3.3442 6.1567
O 6.2803 7.0999 12.5617
O 6.5079 8.3024 3.9266
```



# 3
DFT (PBE+U) results for K4V2O7 after structural relaxation.

Properties
Corrected total energy (MP2020 scheme) = -6.78 eV/atom
Calculated formation energy = -2.377 eV per atom

```
13
Lattice="5.2528 -3.1718 0.0000 5.2528 3.1718 0.0000 -1.4586 0.0000 7.2310" Properties=species:S:1:pos:R:3 pbc="T T T"
K 0.0000 0.0000 0.0000
K -0.7293 0.0000 3.6155
K 2.2047 0.0000 5.7725
K 6.8424 0.0000 1.4586
V 3.3938 0.0000 2.1590
V 5.6533 0.0000 5.0720
O 3.7734 1.4073 1.2502
O 1.7360 0.0000 2.5982
O 5.2736 1.4073 5.9808
O 4.5235 0.0000 3.6155
O 3.7734 -1.4073 1.2502
O 7.3110 0.0000 4.6328
O 5.2736 -1.4073 5.9808
```



# 4
DFT (PBE+U) results for KV4O10 after structural relaxation.

Properties
Corrected total energy (MP2020 scheme) = -8.15 eV/atom
Total magnetic moment = 0.067 μB/atom
Energy above the most stable polymorph in this dataset = 0.0096 eV/atom
Calculated formation energy = -2.352 eV per atom

```
30
Lattice="1.8542 -5.8067 0.0000 1.8542 5.8067 0.0000 0.0000 0.0000 20.5803" Properties=species:S:1:pos:R:3 pbc="T T T"
K 1.8542 4.5964 15.4352
K 1.8542 -4.5964 5.1451
V 1.8542 2.6501 11.9593
V 1.8542 2.6501 18.9112
V 1.8542 0.7754 1.6164
V 1.8542 0.7754 8.6737
V 1.8542 -0.7754 11.9066
V 1.8542 -0.7754 18.9639
V 1.8542 -2.6501 1.6691
V 1.8542 -2.6501 8.6210
O 1.8542 4.6329 11.5965
O 1.8542 4.6329 19.2740
O 1.8542 2.7899 1.2489
O 1.8542 2.7899 9.0412
O 1.8542 2.4790 13.5790
O 1.8542 2.4790 17.2915
O 1.8542 0.9417 11.2897
O 1.8542 0.9417 19.5808
O 1.8542 0.5896 3.2493
O 1.8542 0.5896 7.0409
O 1.8542 -0.5896 13.5395
O 1.8542 -0.5896 17.3310
O 1.8542 -0.9417 0.9995
O 1.8542 -0.9417 9.2907
O 1.8542 -2.4790 3.2888
O 1.8542 -2.4790 7.0014
O 1.8542 -2.7899 11.5391
O 1.8542 -2.7899 19.3314
O 1.8542 -4.6329 1.3063
O 1.8542 -4.6329 8.9839
```



# 5
DFT (PBE+U) results for K3V5O14 after structural relaxation.

Properties
Corrected total energy (MP2020 scheme) = -7.77 eV/atom
Piezoelectric modulus e_max = 1.0 C/m²
Calculated formation energy = -2.406 eV per atom

```
22
Lattice="8.7988 0.0000 0.0000 -4.3994 7.6200 0.0000 0.0000 0.0000 5.3050" Properties=species:S:1:pos:R:3 pbc="T T T"
K -2.6724 4.6288 0.0000
K 1.7270 2.9912 0.0000
K 5.3448 0.0000 0.0000
V -0.9972 1.7271 2.4760
V 1.9943 0.0000 2.4760
V 0.0000 5.0800 2.4815
V 4.3994 2.5400 2.4815
V 3.4023 5.8929 2.4760
O -1.0507 1.8199 4.1084
O -3.6557 6.3319 2.0638
O -0.5492 3.5170 1.8641
O 0.7437 1.2881 2.0638
O 2.1015 0.0000 4.1084
O -1.0790 6.3371 1.8641
O 0.0000 5.0800 4.1471
O 3.3204 1.2829 1.8641
O 1.6282 5.3859 1.8641
O 4.3994 2.5400 4.1471
O 3.8502 4.1030 1.8641
O 3.3487 5.8001 4.1084
O 7.3114 0.0000 2.0638
O 6.0276 2.2341 1.8641
```



# 6
DFT (PBE+U) results for K2V2O5 after structural relaxation.

Properties
Corrected total energy (MP2020 scheme) = -7.27 eV/atom
Total magnetic moment = 0.222 μB/atom
Calculated formation energy = -2.255 eV per atom

```
18
Lattice="-7.3105 3.1078 2.9657 7.3105 -3.1078 2.9657 7.3105 3.1078 -2.9657" Properties=species:S:1:pos:R:3 pbc="T T T"
K 1.6903 0.1712 0.0000
K 5.6201 0.1712 0.0000
K 1.6903 2.9366 2.9657
K 5.6201 2.9366 2.9657
V 3.6552 -0.5112 2.9123
V 0.0000 0.0000 2.8070
V 7.3105 0.0000 2.8070
V 3.6552 3.6190 -0.0534
O 3.6552 -1.1738 1.1747
O 7.4438 1.6899 -1.1935
O 7.1771 -1.4178 1.7722
O 10.9657 1.1738 1.1747
O 2.0601 2.8460 0.1367
O 5.2504 2.8460 0.1367
O -0.1333 1.4178 1.7722
O 7.4438 1.4178 1.7722
O 2.0601 0.2617 3.1024
O 5.2504 0.2617 3.1024
```



# 7
DFT (PBE+U) results for KV4O10 after structural relaxation.

Properties
Corrected total energy (MP2020 scheme) = -8.15 eV/atom
Total magnetic moment = 0.067 μB/atom
Energy above the most stable polymorph in this dataset = 0.0038 eV/atom
Calculated formation energy = -2.358 eV per atom

```
15
Lattice="5.8769 -1.8566 0.0000 5.8769 1.8566 0.0000 -0.3920 0.0000 9.8002" Properties=species:S:1:pos:R:3 pbc="T T T"
K 0.0000 0.0000 0.0000
V 1.8523 0.0000 3.6131
V 3.7993 0.0000 6.6464
V 5.3387 0.0000 3.6287
V 7.2918 0.0000 6.6717
O -0.1374 0.0000 3.9046
O 1.7528 0.0000 6.2217
O 2.0034 0.0000 1.9986
O 3.6174 0.0000 4.1960
O 3.9625 0.0000 8.2751
O 5.2137 0.0000 1.9960
O 5.4897 0.0000 6.0607
O 7.0614 0.0000 8.2906
O 7.3763 0.0000 4.0446
O 9.2691 0.0000 6.3734
```



# 8
DFT (PBE+U) results for K5V3O10 after structural relaxation.

Properties
Corrected total energy (MP2020 scheme) = -6.97 eV/atom
Calculated formation energy = -2.400 eV per atom

```
72
Lattice="8.3256 0.0000 0.0000 0.0000 8.3256 0.0000 0.0000 0.0000 19.1588" Properties=species:S:1:pos:R:3 pbc="T T T"
K 0.0112 0.2269 2.7088
K 0.0747 4.3631 16.9151
K 0.2003 4.0881 12.1254
K 0.2269 0.0112 16.4500
K 1.9644 6.3612 4.7897
K 2.1984 2.1984 0.0000
K 3.9359 4.1740 7.4985
K 3.9625 8.2509 11.8230
K 4.0881 0.2003 7.0334
K 4.1516 4.3897 2.0809
K 4.1740 3.9359 11.6603
K 4.2375 8.1253 16.6127
K 4.3631 0.0747 2.2437
K 4.3897 4.1516 17.0778
K 6.1272 6.1272 9.5794
K 6.3612 1.9644 14.3691
K 8.0987 8.3145 6.8706
K 8.1253 4.2375 2.5460
K 8.2509 3.9625 7.3357
K 8.3145 8.0987 12.2882
V 1.5944 1.5944 9.5794
V 1.9034 6.3794 9.2397
V 1.9463 6.4223 0.3397
V 2.2166 2.2595 4.4500
V 2.2595 2.2166 14.7088
V 2.5684 5.7573 14.3691
V 5.7573 2.5684 4.7897
V 6.0662 6.1091 5.1294
V 6.1091 6.0662 14.0294
V 6.3794 1.9034 9.9191
V 6.4223 1.9463 18.8191
V 6.7312 6.7312 0.0000
O 0.1760 6.4798 18.9090
O 0.5016 5.5666 9.7954
O 0.8027 1.5351 14.1324
O 1.4038 3.6612 5.0057
O 1.5351 0.8027 5.0263
O 1.7983 6.3034 15.7642
O 1.8458 8.1496 9.8291
O 1.9255 6.3450 7.5163
O 1.9806 6.4001 2.0631
O 2.0222 6.5273 12.9739
O 2.1406 2.3645 10.9745
O 2.1822 2.2373 2.7266
O 2.2373 2.1822 16.4322
O 2.3170 3.9868 14.1193
O 2.3645 2.1406 8.1842
O 2.6277 4.9656 18.9221
O 2.7590 7.8240 18.9427
O 3.3601 5.6979 9.8160
O 3.6612 1.4038 14.1530
O 3.9868 2.3170 5.0394
O 4.3388 6.0086 14.6188
O 4.6644 6.9219 4.5736
O 4.9656 2.6277 0.2366
O 5.5666 0.5016 9.3633
O 5.6979 3.3601 9.3427
O 5.9611 6.1850 17.7636
O 6.0086 4.3388 4.5400
O 6.0883 6.1434 6.8528
O 6.1434 6.0883 12.3060
O 6.1850 5.9611 1.3951
O 6.3034 1.7983 3.3945
O 6.3450 1.9255 11.6425
O 6.4001 1.9806 17.0956
O 6.4798 0.1760 0.2497
O 6.5273 2.0222 6.1848
O 6.7905 7.5229 14.6057
O 6.9219 4.6644 14.5851
O 7.5229 6.7905 4.5531
O 7.8240 2.7590 0.2161
O 8.1496 1.8458 9.3296
```



# 9
DFT (PBE+U) results for K2V3O8 after structural relaxation.

Properties
Corrected total energy (MP2020 scheme) = -7.76 eV/atom
Piezoelectric modulus e_max = 0.9 C/m²
Calculated formation energy = -2.449 eV per atom

```
26
Lattice="9.0244 0.0000 0.0000 0.0000 9.0244 0.0000 0.0000 0.0000 5.5064" Properties=species:S:1:pos:R:3 pbc="T T T"
K 1.5348 2.9774 0.0000
K 2.9774 7.4896 0.0000
K 6.0470 1.5348 0.0000
K 7.4896 6.0470 0.0000
V 0.0000 0.0000 2.5186
V 1.2121 5.7243 2.5643
V 3.3001 1.2121 2.5643
V 4.5122 4.5122 2.5186
V 5.7243 7.8123 2.5643
V 7.8123 3.3001 2.5643
O 0.0000 0.0000 4.1611
O 0.0000 4.5122 1.9141
O 0.7836 7.2919 1.9360
O 1.1906 5.7028 4.2324
O 1.7326 0.7836 1.9360
O 2.7797 5.2958 1.9360
O 3.3216 1.1906 4.2324
O 3.7286 2.7797 1.9360
O 4.5122 0.0000 1.9141
O 4.5122 4.5122 4.1611
O 5.2958 6.2448 1.9360
O 5.7028 7.8338 4.2324
O 6.2448 3.7286 1.9360
O 7.2919 8.2408 1.9360
O 7.8338 3.3216 4.2324
O 8.2408 1.7326 1.9360
```



# 10
DFT (PBE+U) results for KV4O10 after structural relaxation.

Properties
Corrected total energy (MP2020 scheme) = -8.16 eV/atom
Total magnetic moment = 0.067 μB/atom
Energy above the most stable polymorph in this dataset = 0.0000 eV/atom
Calculated formation energy = -2.361 eV per atom

```
30
Lattice="1.8563 -5.8802 0.0000 1.8563 5.8802 0.0000 0.0000 0.0000 19.3078" Properties=species:S:1:pos:R:3 pbc="T T T"
K 1.8563 4.9362 14.4809
K 1.8563 -4.9362 4.8270
V 1.8563 2.7190 1.5497
V 1.8563 2.7190 8.1042
V 1.8563 0.7609 11.1761
V 1.8563 0.7609 17.7856
V 1.8563 -0.7609 1.5222
V 1.8563 -0.7609 8.1317
V 1.8563 -2.7190 11.2036
V 1.8563 -2.7190 17.7581
O 1.8563 4.6935 1.2663
O 1.8563 4.6935 8.3877
O 1.8563 2.8181 10.7808
O 1.8563 2.8181 18.1810
O 1.8563 2.4772 3.1628
O 1.8563 2.4772 6.4911
O 1.8563 0.9340 0.9232
O 1.8563 0.9340 8.7307
O 1.8563 0.5588 12.7977
O 1.8563 0.5588 16.1641
O 1.8563 -0.5588 3.1438
O 1.8563 -0.5588 6.5102
O 1.8563 -0.9340 10.5771
O 1.8563 -0.9340 18.3846
O 1.8563 -2.4772 12.8167
O 1.8563 -2.4772 16.1450
O 1.8563 -2.8181 1.1268
O 1.8563 -2.8181 8.5271
O 1.8563 -4.6935 10.9202
O 1.8563 -4.6935 18.0416
```



# 11
DFT (PBE+U) results for K4V2O9 after structural relaxation.

Properties
Corrected total energy (MP2020 scheme) = -6.29 eV/atom
Total magnetic moment = 0.267 μB/atom
Calculated formation energy = -1.811 eV per atom

```
30
Lattice="5.5977 -6.2648 0.0000 5.5977 6.2648 0.0000 0.0000 0.0000 8.1086" Properties=species:S:1:pos:R:3 pbc="T T T"
K 5.5977 6.0947 6.0815
K 3.0915 2.4279 6.0815
K 5.5977 0.4428 2.0272
K 3.0915 -2.4279 2.0272
K 8.1039 2.4279 6.0815
K 5.5977 -0.4428 6.0815
K 8.1039 -2.4279 2.0272
K 5.5977 -6.0947 2.0272
V 5.5977 3.4390 0.1918
V 5.5977 3.4390 3.8625
V 5.5977 -3.4390 4.2461
V 5.5977 -3.4390 7.9169
O 4.1885 4.3034 4.3358
O 4.1885 4.3034 7.8272
O 2.6018 0.9013 2.0272
O 5.5977 3.3512 2.0272
O 7.0069 4.3034 4.3358
O 7.0069 4.3034 7.8272
O 2.6018 -0.9013 6.0815
O 5.5977 1.8602 4.5009
O 5.5977 1.8602 7.6621
O 5.5977 -1.8602 0.4465
O 5.5977 -1.8602 3.6078
O 8.5937 0.9013 2.0272
O 4.1885 -4.3034 0.2815
O 4.1885 -4.3034 3.7728
O 5.5977 -3.3512 6.0815
O 8.5937 -0.9013 6.0815
O 7.0069 -4.3034 0.2815
O 7.0069 -4.3034 3.7728
```